(1)
# Na3NpH2Se2O11

Na3NpH2Se2O11 after structural relaxation (GGA-PBE, the Materials Project). Values from VASP.

Summary:
formation enthalpy at 0 K	-1.927	eV/atom
VASP energy	-6.009	eV per atom

```
&SYSTEM
  ibrav = 0, nat = 38, ntyp = 5
/
ATOMIC_SPECIES
Na 22.99 Na.upf
Se 78.96 Se.upf
O 16.00 O.upf
H 1.01 H.upf
Np 237.00 Np.upf
CELL_PARAMETERS angstrom
7.105 0.024 -0.736
-3.068 7.556 0.052
-0.002 0.088 9.893
ATOMIC_POSITIONS angstrom
Na 0.473 1.687 8.889
Se 4.141 2.482 8.906
O 0.409 3.633 0.704
O 5.150 0.536 2.753
Na 0.991 7.023 7.750
Se -0.105 5.186 0.304
O 1.193 6.230 0.221
Se 2.334 6.638 3.615
O 3.320 5.622 2.721
O -1.115 7.133 6.456
Na 3.562 5.981 0.321
H 1.506 3.952 6.566
O 2.842 1.438 8.988
O 1.018 0.645 4.095
O 0.716 2.046 6.488
O 4.810 4.411 5.416
O 1.748 4.896 6.439
O 0.888 5.893 3.929
O 4.785 2.449 0.571
O 5.236 1.896 7.794
O 3.147 1.776 5.281
O 3.665 6.845 7.938
O 0.371 0.823 1.271
O -1.201 5.772 1.415
Np 4.247 5.594 6.708
O 2.287 2.772 2.771
H 2.678 2.502 3.642
Na 5.466 2.153 5.308
Se 1.701 1.030 5.595
Na 3.044 0.645 1.460
O -0.749 5.219 8.639
Na -1.430 5.516 3.902
O -0.775 3.257 3.794
H 2.529 3.717 2.644
O 3.017 7.024 5.115
H 1.358 5.166 5.567
O 3.626 4.035 8.505
Np -0.211 2.074 2.502
```

(2)
# BMoWC

BMoWC after structural relaxation (GGA-PBE, the Materials Project). Values from VASP.

Summary:
formation enthalpy at 0 K	-0.174	eV/atom
VASP energy	-10.102	eV per atom

```
&SYSTEM
  ibrav = 0, nat = 8, ntyp = 4
/
ATOMIC_SPECIES
B 10.81 B.upf
Mo 95.94 Mo.upf
C 12.01 C.upf
W 183.84 W.upf
CELL_PARAMETERS angstrom
8.219 3.302 0.802
-8.772 -0.289 -1.438
-0.507 0.538 2.988
ATOMIC_POSITIONS angstrom
B -0.175 2.012 1.986
Mo 2.482 2.574 2.337
C -5.647 0.533 -0.262
Mo -3.543 0.978 0.015
W -7.674 0.105 -0.530
W 6.614 3.447 2.881
B -0.885 1.540 0.365
C 4.586 3.018 2.614
```

(3)
# YB3H15N

YB3H15N after structural relaxation (GGA-PBE, the Materials Project). Values from VASP.

Summary:
formation enthalpy at 0 K	-0.331	eV/atom
VASP energy	-4.599	eV per atom

```
&SYSTEM
  ibrav = 0, nat = 40, ntyp = 4
/
ATOMIC_SPECIES
Y 88.91 Y.upf
N 14.01 N.upf
H 1.01 H.upf
B 10.81 B.upf
CELL_PARAMETERS angstrom
3.965 3.895 0.000
-3.965 3.895 0.000
0.000 0.000 12.420
ATOMIC_POSITIONS angstrom
Y 0.000 2.193 4.555
N 0.000 6.057 8.308
H 0.000 7.165 0.046
H 0.000 1.310 8.169
H -1.210 3.875 9.515
B 0.000 6.179 0.789
H 0.000 0.726 1.901
B -1.783 3.423 10.501
H -0.822 2.118 1.620
H 2.956 4.006 4.245
H -1.660 5.591 4.263
H -2.956 4.006 4.245
H -2.956 3.784 10.455
H 0.994 2.288 6.698
H -1.308 3.973 5.356
H -1.210 3.914 3.305
H 1.210 3.914 3.305
N 0.000 1.732 2.098
H 1.308 3.816 11.566
H -1.660 2.198 10.473
Y 0.000 5.597 10.765
H 0.000 0.624 6.256
B 1.783 4.366 4.291
H 1.660 2.198 10.473
H 0.000 6.479 1.958
H -0.822 5.671 7.831
H -0.994 5.501 0.488
B -1.783 4.366 4.291
B 1.783 3.423 10.501
H 2.956 3.784 10.455
H 0.994 5.501 0.488
H 0.822 5.671 7.831
H 1.308 3.973 5.356
H 0.822 2.118 1.620
H -0.994 2.288 6.698
H 0.000 7.063 8.111
H 1.210 3.875 9.515
H -1.308 3.816 11.566
H 1.660 5.591 4.263
B 0.000 1.610 7.000
```

(4)
# Rb3TmS3O12

Rb3TmS3O12 after structural relaxation (GGA-PBE, the Materials Project). Values from VASP.

Summary:
formation enthalpy at 0 K	-2.467	eV/atom
VASP energy	-6.201	eV per atom
energy above the lowest structure with this stoichiometry	0.0	meV/atom

```
&SYSTEM
  ibrav = 0, nat = 38, ntyp = 4
/
ATOMIC_SPECIES
Tm 168.93 Tm.upf
O 16.00 O.upf
Rb 85.47 Rb.upf
S 32.06 S.upf
CELL_PARAMETERS angstrom
-7.445 -3.201 -4.788
1.107 -5.073 7.851
-7.725 0.826 5.350
ATOMIC_POSITIONS angstrom
Tm -6.120 -3.518 -2.731
O -4.357 -4.513 6.353
Rb -5.356 -5.886 1.518
O -4.294 -1.138 4.046
O -5.696 -4.739 4.330
O -10.636 -4.090 5.414
S -6.486 -2.076 0.482
O -7.295 -5.221 -1.344
S -10.729 -4.072 3.942
O -5.049 -1.628 0.436
S -4.383 -5.028 4.936
O -10.868 -5.478 3.427
O -9.536 -3.469 3.309
Rb -8.090 -5.720 5.862
O -6.671 -3.198 1.410
S -12.025 -2.903 -0.573
O -13.132 -2.703 0.431
O -10.829 -2.144 -0.165
S -7.057 -2.383 8.022
Rb -9.336 -5.011 0.829
O -4.156 -6.515 4.963
Rb -7.059 -2.203 4.111
Tm -4.174 -4.377 8.528
O -8.128 -3.311 7.641
O -9.354 -0.463 4.952
S -0.590 -4.973 7.943
O -0.405 -3.993 6.857
O -6.121 -5.910 8.774
O -4.008 -4.222 10.755
O -6.961 -2.460 -0.883
O -3.268 -4.408 4.189
O -8.072 -2.900 -3.635
Rb -2.886 -2.684 1.895
O -1.903 -4.728 8.642
O -6.042 -3.094 8.859
Rb -8.858 -5.548 9.919
O -6.407 -1.763 6.814
O -11.945 -3.285 3.523
```

(5)
# CaCl2

CaCl2 after structural relaxation (GGA-PBE, the Materials Project). Values from VASP.

Summary:
formation enthalpy at 0 K	-2.803	eV/atom
VASP energy	-4.295	eV per atom

```
&SYSTEM
  ibrav = 0, nat = 6, ntyp = 2
/
ATOMIC_SPECIES
Ca 40.08 Ca.upf
Cl 35.45 Cl.upf
CELL_PARAMETERS angstrom
-2.837 5.275 2.363
-4.225 -0.096 -4.858
-2.587 -2.421 2.298
ATOMIC_POSITIONS angstrom
Ca -4.825 1.379 -0.099
Ca 0.000 0.000 0.000
Cl -2.149 1.576 -0.759
Cl -4.913 3.603 -1.736
Cl -4.402 3.014 2.099
Cl -5.247 -0.255 -2.296
```

(6)
# AlSiHO4

AlSiHO4 after structural relaxation (GGA-PBE, the Materials Project). Values from VASP.

Summary:
formation enthalpy at 0 K	-2.829	eV/atom
VASP energy	-7.058	eV per atom

```
&SYSTEM
  ibrav = 0, nat = 28, ntyp = 4
/
ATOMIC_SPECIES
Al 26.98 Al.upf
O 16.00 O.upf
H 1.01 H.upf
Si 28.09 Si.upf
CELL_PARAMETERS angstrom
4.407 0.000 0.000
0.000 7.074 0.000
0.000 5.962 7.123
ATOMIC_POSITIONS angstrom
Al 2.322 5.138 3.104
O 3.063 6.283 4.448
H 2.352 9.360 5.790
O 1.307 4.154 1.837
Si 2.305 5.548 5.838
O 1.303 4.654 4.653
H 4.259 6.379 2.228
O 0.840 9.288 3.707
H 0.148 6.656 4.895
O 1.364 6.307 0.145
O 0.901 1.673 1.091
O 0.859 9.733 6.237
O 3.548 3.303 0.886
O 3.105 8.381 2.471
O 3.506 11.362 6.032
Al 4.289 8.118 6.665
H 2.055 3.675 1.334
O 3.044 6.728 6.978
O 1.345 6.752 2.675
O 0.896 7.135 5.399
O 3.100 8.881 5.286
Si 0.101 10.468 4.847
Si 4.306 2.567 2.276
O 3.511 5.901 1.724
Al 0.119 4.917 0.458
Si 2.102 7.487 1.286
O 3.567 3.748 3.416
Al 2.085 7.898 4.020
```

(7)
# PrCo3P2

PrCo3P2 after structural relaxation (GGA-PBE, the Materials Project). Values from VASP.

Summary:
formation enthalpy at 0 K	-0.833	eV/atom
VASP energy	-6.988	eV per atom

```
&SYSTEM
  ibrav = 0, nat = 36, ntyp = 3
/
ATOMIC_SPECIES
P 30.97 P.upf
Co 58.93 Co.upf
Pr 140.91 Pr.upf
CELL_PARAMETERS angstrom
3.775 0.000 0.000
0.000 10.681 0.000
0.000 0.000 12.410
ATOMIC_POSITIONS angstrom
P 1.887 9.071 11.119
Co 0.000 5.340 12.249
Co 0.000 8.902 0.045
P 1.887 5.340 11.008
Co 1.887 9.425 8.813
P 0.000 3.731 1.291
Co 1.887 7.119 12.365
Co 0.000 0.000 10.451
P 1.887 5.340 4.204
Co 0.000 2.170 7.066
P 1.887 1.610 11.119
Co 1.887 5.340 8.754
P 0.000 0.000 1.402
Co 1.887 1.256 8.813
Co 0.000 0.000 3.655
P 1.887 3.254 7.619
Co 0.000 8.511 7.066
P 0.000 8.595 4.791
P 1.887 7.426 7.619
Pr 1.887 8.715 2.557
Pr 1.887 1.965 2.557
Co 1.887 7.510 5.343
P 0.000 0.000 8.205
P 0.000 6.950 1.291
Co 1.887 3.170 5.343
Pr 0.000 7.306 9.853
Co 0.000 1.778 0.045
Pr 0.000 5.340 6.475
Co 1.887 5.340 1.959
Co 1.887 0.000 0.161
Co 1.887 3.562 12.365
P 0.000 2.086 4.791
Co 0.000 4.085 3.597
Pr 0.000 3.375 9.853
Pr 1.887 0.000 5.935
Co 0.000 6.596 3.597
```

(8)
# MgZnRe2O8

MgZnRe2O8 after structural relaxation (GGA-PBE, the Materials Project). Values from VASP.

Summary:
formation enthalpy at 0 K	-2.022	eV/atom
VASP energy	-7.175	eV per atom
energy above the lowest structure with this stoichiometry	0.0	meV/atom

```
&SYSTEM
  ibrav = 0, nat = 12, ntyp = 4
/
ATOMIC_SPECIES
Mg 24.30 Mg.upf
O 16.00 O.upf
Re 186.21 Re.upf
Zn 65.41 Zn.upf
CELL_PARAMETERS angstrom
5.480 0.000 0.000
-2.740 4.746 0.000
0.000 0.000 7.374
ATOMIC_POSITIONS angstrom
Mg 0.000 3.164 5.763
O 3.657 0.102 6.227
O -1.144 4.324 1.355
O 1.000 1.528 6.227
O 3.563 3.116 6.227
Re 2.740 1.582 5.415
O 0.000 3.164 3.766
O 1.576 3.574 1.355
Re 0.000 3.164 1.994
O 2.740 1.582 3.683
Zn 0.000 0.000 7.223
O -0.433 1.594 1.355
```

(9)
# Eu2AgPb

Eu2AgPb after structural relaxation (GGA-PBE, the Materials Project). Values from VASP.

Summary:
formation enthalpy at 0 K	-0.463	eV/atom
VASP energy	-7.228	eV per atom

```
&SYSTEM
  ibrav = 0, nat = 4, ntyp = 3
/
ATOMIC_SPECIES
Eu 151.96 Eu.upf
Ag 107.87 Ag.upf
Pb 207.20 Pb.upf
CELL_PARAMETERS angstrom
-5.505 -0.280 -0.678
-3.135 4.505 0.848
-2.402 2.561 -4.303
ATOMIC_POSITIONS angstrom
Eu -2.761 1.697 -1.033
Eu -8.282 5.090 -3.100
Ag 0.000 0.000 0.000
Pb -5.521 3.393 -2.067
```

(10)
# BaMg14ZnO16

BaMg14ZnO16 after structural relaxation (GGA-PBE, the Materials Project). Values from VASP.

Summary:
formation enthalpy at 0 K	-2.772	eV/atom
VASP energy	-5.702	eV per atom
energy above the lowest structure with this stoichiometry	4.3	meV/atom

```
&SYSTEM
  ibrav = 0, nat = 32, ntyp = 4
/
ATOMIC_SPECIES
Mg 24.30 Mg.upf
O 16.00 O.upf
Ba 137.33 Ba.upf
Zn 65.41 Zn.upf
CELL_PARAMETERS angstrom
-7.370 -2.529 -3.938
-2.438 -4.197 7.257
-2.067 3.737 1.467
ATOMIC_POSITIONS angstrom
Mg -7.437 -5.101 2.517
O -1.816 -0.623 -0.970
Mg -7.881 -2.162 1.354
Mg -3.685 -1.265 -1.969
Mg -5.294 -0.388 0.479
Mg -1.638 0.828 2.532
Mg -6.577 -0.034 -2.229
O -5.555 -1.906 -2.968
O -1.033 1.869 0.734
Ba -4.904 -3.363 1.660
Mg -2.371 -1.626 0.802
O -6.972 -4.073 0.554
O -8.390 -3.177 3.223
Mg -2.860 1.242 -0.242
Mg -3.993 -0.828 3.432
O -5.588 -4.541 3.696
O -0.600 -1.034 1.788
O -3.485 0.187 1.563
O -4.719 0.604 -1.236
O -4.704 -1.912 5.193
O -1.837 -3.163 5.470
O -5.937 -1.495 2.393
Mg -3.630 -3.794 4.551
O -7.171 -1.078 -0.406
O -2.252 -0.230 4.362
Mg -6.580 -2.602 4.307
O -4.220 -2.185 -0.377
Mg -2.867 -1.288 6.192
O -2.836 -2.654 2.765
Mg -6.178 -2.933 -1.232
Mg -1.219 -2.099 3.629
Zn 0.000 0.000 0.000
```

(11)
# RbCdAuS2

RbCdAuS2 after structural relaxation (GGA-PBE, the Materials Project). Values from VASP.

Summary:
formation enthalpy at 0 K	-0.898	eV/atom
VASP energy	-3.386	eV per atom

```
&SYSTEM
  ibrav = 0, nat = 20, ntyp = 4
/
ATOMIC_SPECIES
Cd 112.41 Cd.upf
S 32.06 S.upf
Au 196.97 Au.upf
Rb 85.47 Rb.upf
CELL_PARAMETERS angstrom
5.919 0.000 0.000
0.000 6.970 0.000
0.000 0.000 13.960
ATOMIC_POSITIONS angstrom
Cd 0.000 6.535 3.490
Cd 0.000 3.920 10.470
S 4.706 5.682 8.918
Cd 0.000 3.050 3.490
S 1.213 4.773 1.938
Au 2.960 4.768 3.490
S 1.213 1.288 5.043
S 4.706 1.288 1.938
S 1.213 5.682 12.023
Rb 4.278 1.742 6.980
Au 2.960 2.202 10.470
S 4.706 4.773 5.043
Au 2.960 5.686 10.470
Rb 1.641 1.742 0.000
Au 2.960 1.283 3.490
S 4.706 2.197 12.023
Rb 1.641 5.227 6.980
Rb 4.278 5.227 0.000
Cd 0.000 0.435 10.470
S 1.213 2.197 8.918
```

(12)
# CaCeIn2

CaCeIn2 after structural relaxation (GGA-PBE, the Materials Project). Values from VASP.

Summary:
formation enthalpy at 0 K	-0.403	eV/atom
VASP energy	-3.764	eV per atom

```
&SYSTEM
  ibrav = 0, nat = 4, ntyp = 3
/
ATOMIC_SPECIES
In 114.82 In.upf
Ce 140.12 Ce.upf
Ca 40.08 Ca.upf
CELL_PARAMETERS angstrom
-4.601 -2.508 -1.528
-4.655 2.827 -0.373
-2.178 1.038 -4.896
ATOMIC_POSITIONS angstrom
In -2.858 0.339 -1.699
In -8.575 1.018 -5.098
Ce 0.000 0.000 0.000
Ca -5.717 0.678 -3.399
```

(13)
# PrNd3

PrNd3 after structural relaxation (GGA-PBE, the Materials Project). Values from VASP.

Summary:
formation enthalpy at 0 K	0.014	eV/atom
VASP energy	-4.758	eV per atom

```
&SYSTEM
  ibrav = 0, nat = 4, ntyp = 2
/
ATOMIC_SPECIES
Nd 144.24 Nd.upf
Pr 140.91 Pr.upf
CELL_PARAMETERS angstrom
3.209 1.950 5.164
-1.383 6.118 1.192
-3.719 -5.085 -1.037
ATOMIC_POSITIONS angstrom
Nd 0.202 0.450 3.652
Pr 0.000 0.000 0.000
Nd 0.913 4.034 3.178
Nd -2.094 2.534 1.666
```

(14)
# Si

Si after structural relaxation (GGA-PBE, the Materials Project). Values from VASP.

Summary:
formation enthalpy at 0 K	0.160	eV/atom
VASP energy	-5.265	eV per atom
energy above the lowest structure with this stoichiometry	160.0	meV/atom

```
&SYSTEM
  ibrav = 0, nat = 8, ntyp = 1
/
ATOMIC_SPECIES
Si 28.09 Si.upf
CELL_PARAMETERS angstrom
3.328 3.328 3.328
3.328 -3.328 -3.328
-3.328 3.328 -3.328
ATOMIC_POSITIONS angstrom
Si 2.652 0.676 -0.676
Si 2.652 2.652 2.652
Si 0.676 0.676 0.676
Si -0.676 0.676 -2.652
Si 0.676 2.652 -2.652
Si 2.652 -0.676 -2.652
Si 0.676 -0.676 -4.004
Si 0.676 4.004 -0.676
```

(15)
# KSb4F13

KSb4F13 after structural relaxation (GGA-PBE, the Materials Project). Values from VASP.

Summary:
formation enthalpy at 0 K	-2.756	eV/atom
VASP energy	-4.784	eV per atom
energy above the lowest structure with this stoichiometry	0.0	meV/atom
largest piezoelectric modulus	0.6	C/m2

```
&SYSTEM
  ibrav = 0, nat = 18, ntyp = 3
/
ATOMIC_SPECIES
Sb 121.76 Sb.upf
F 19.00 F.upf
K 39.10 K.upf
CELL_PARAMETERS angstrom
-4.905 4.905 3.201
4.905 -4.905 3.201
4.905 4.905 -3.201
ATOMIC_POSITIONS angstrom
Sb 2.926 0.174 0.022
F 3.426 5.639 2.161
F 2.286 -0.974 1.496
Sb 4.731 -1.979 3.179
F 0.734 1.479 1.039
F -0.828 3.589 2.554
F 1.316 4.077 0.646
F 0.974 2.286 4.905
F 2.619 5.879 -1.705
F 3.589 0.828 3.847
K 0.000 0.000 3.201
F 1.479 -0.734 5.362
Sb 1.979 4.731 3.222
F 4.905 0.000 1.600
F 3.931 2.619 1.705
F 5.733 1.316 -0.646
Sb 0.174 6.884 -0.022
F 4.171 3.426 -2.161
```

(16)
# KP2Ir2

KP2Ir2 after structural relaxation (GGA-PBE, the Materials Project). Values from VASP.

Summary:
formation enthalpy at 0 K	-0.641	eV/atom
VASP energy	-6.563	eV per atom

```
&SYSTEM
  ibrav = 0, nat = 5, ntyp = 3
/
ATOMIC_SPECIES
Ir 192.22 Ir.upf
K 39.10 K.upf
P 30.97 P.upf
CELL_PARAMETERS angstrom
6.557 2.839 0.309
3.766 3.223 5.156
-4.124 -5.512 -1.939
ATOMIC_POSITIONS angstrom
Ir 3.797 0.179 0.551
K 0.000 0.000 0.000
P 6.729 3.952 3.562
P 3.594 2.111 1.902
Ir 2.401 0.371 2.974
```